(1)
VASP calculation (PBE) on crystalline NaEuYSbO6 at its relaxed geometry.

Structure (CIF):
```
data_NaEuYSbO6
_space_group_name_H-M_alt 'P 1'
_space_group_IT_number 1
_cell_length_a 5.9068
_cell_length_b 5.9068
_cell_length_c 5.9068
_cell_angle_alpha 60.00
_cell_angle_beta 60.00
_cell_angle_gamma 60.00
loop_
_space_group_symop_operation_xyz
'x,y,z'
loop_
_atom_site_label
_atom_site_type_symbol
_atom_site_fract_x
_atom_site_fract_y
_atom_site_fract_z
O1 O 0.7630 0.2370 0.7630
O2 O 0.2370 0.2370 0.7630
O3 O 0.7630 0.2370 0.2370
O4 O 0.2370 0.7630 0.7630
O5 O 0.2370 0.7630 0.2370
O6 O 0.7630 0.7630 0.2370
Sb1 Sb 0.0000 0.0000 0.0000
Na1 Na 0.2500 0.2500 0.2500
Eu1 Eu 0.7500 0.7500 0.7500
Y1 Y 0.5000 0.5000 0.5000
```

Values from the calculation:
Its total energy is -7.43 eV per atom.

---

(2)
VASP calculation (PBE) on crystalline LaBiO3 at its relaxed geometry.

Structure (CIF):
```
data_LaBiO3
_space_group_name_H-M_alt 'P 1'
_space_group_IT_number 1
_cell_length_a 6.2981
_cell_length_b 6.2981
_cell_length_c 6.2981
_cell_angle_alpha 60.03
_cell_angle_beta 60.03
_cell_angle_gamma 60.03
loop_
_space_group_symop_operation_xyz
'x,y,z'
loop_
_atom_site_label
_atom_site_type_symbol
_atom_site_fract_x
_atom_site_fract_y
_atom_site_fract_z
O1 O 0.7677 0.4650 0.0051
O2 O 0.2323 0.5350 0.9949
O3 O 0.5350 0.9949 0.2323
O4 O 0.4650 0.0051 0.7677
O5 O 0.0051 0.7677 0.4650
O6 O 0.9949 0.2323 0.5350
Bi1 Bi 0.6486 0.6486 0.6486
Bi2 Bi 0.3514 0.3514 0.3514
La1 La 0.1334 0.1334 0.1334
La2 La 0.8666 0.8666 0.8666
```

Values from the calculation:
Its total energy is -7.05 eV per atom.

---

no.,formation enthalpy at 0 K (meV per atom)
1,-2652
2,-2728